1.
DFT (r²SCAN) results for crystalline LuAgSn at its relaxed geometry.

Computed properties:
* formation energy from the elements: -560 meV/atom
* size of the total moment: 0.00 Bohr magnetons per cell
* volume: 22.481 Å³/atom
* space group: No. 189
* uncorrected energy: -28.6210 eV per atom

Geometry as POSCAR:
```
LuAgSn
1.0
-6.1556 -2.9193 2.5131
5.4048 -4.2983 -2.2454
1.6842 -0.0232 4.0982
Sn Ag Lu
3 3 3
Direct
0.3333 0.6667 0.5000
0.0000 0.0000 0.0000
0.6667 0.3333 0.5000
0.0000 0.7541 0.5000
0.2459 0.2459 0.5000
0.7541 0.0000 0.5000
0.4317 0.0000 0.0000
0.0000 0.4317 0.0000
0.5683 0.5683 0.0000
```

---

2.
DFT (r²SCAN) results for crystalline CePmZn2 at its relaxed geometry.

Computed properties:
* formation energy from the elements: -276 meV/atom
* size of the total moment: 1.05 Bohr magnetons per cell
* volume: 24.139 Å³/atom
* space group: No. 225
* uncorrected energy: -19.8268 eV per atom

Geometry as POSCAR:
```
CePmZn2
1.0
0.0000 3.6413 3.6413
3.6413 0.0000 3.6413
3.6413 3.6413 0.0000
Zn Ce Pm
2 1 1
Direct
0.0000 0.0000 0.0000
0.5000 0.5000 0.5000
0.2500 0.2500 0.2500
0.7500 0.7500 0.7500
```

---

Number 1 is which compound?
LuAgSn